Compound: MnCrO4
Source: Materials Project
Functional: PBE with a Hubbard U
Structure: relaxed

Structure (CIF):
```
data_MnCrO4
_cell_length_a 6.967
_cell_length_b 6.967
_cell_length_c 6.961
_cell_angle_alpha 79.77
_cell_angle_beta 79.77
_cell_angle_gamma 85.53
_symmetry_space_group_name_H-M 'P 1'
_symmetry_Int_Tables_number 1
loop_
_symmetry_equiv_pos_as_xyz
'x,y,z'
loop_
_atom_site_label
_atom_site_type_symbol
_atom_site_fract_x
_atom_site_fract_y
_atom_site_fract_z
Mn1 Mn 0.792 0.792 0.868
Mn2 Mn 0.815 0.185 0.500
Mn3 Mn 0.185 0.815 0.500
Mn4 Mn 0.208 0.208 0.132
Cr1 Cr 0.726 0.726 0.411
Cr2 Cr 0.745 0.255 0.000
Cr3 Cr 0.255 0.745 0.000
Cr4 Cr 0.274 0.274 0.589
O1 O 0.856 0.856 0.537
O2 O 0.789 0.789 0.170
O3 O 0.780 0.483 0.896
O4 O 0.483 0.780 0.896
O5 O 0.493 0.784 0.476
O6 O 0.784 0.493 0.476
O7 O 0.112 0.799 0.819
O8 O 0.799 0.112 0.819
O9 O 0.888 0.201 0.181
O10 O 0.201 0.888 0.181
O11 O 0.507 0.216 0.524
O12 O 0.216 0.507 0.524
O13 O 0.517 0.220 0.104
O14 O 0.220 0.517 0.104
O15 O 0.211 0.211 0.830
O16 O 0.144 0.144 0.463
```

Output
Total energy after the MP2020 corrections, eV per atom: -8.29
Polymorph energy (0 for the lowest one), meV per atom: 12
Energy relative to the elements, eV per atom: -1.856


Compound: MnCrO4
Source: Materials Project
Functional: PBE with a Hubbard U
Structure: relaxed

Structure (CIF):
```
data_MnCrO4
_cell_length_a 5.135
_cell_length_b 5.135
_cell_length_c 6.689
_cell_angle_alpha 90.00
_cell_angle_beta 90.00
_cell_angle_gamma 66.59
_symmetry_space_group_name_H-M 'P 1'
_symmetry_Int_Tables_number 1
loop_
_symmetry_equiv_pos_as_xyz
'x,y,z'
loop_
_atom_site_label
_atom_site_type_symbol
_atom_site_fract_x
_atom_site_fract_y
_atom_site_fract_z
Mn1 Mn 0.000 0.000 0.500
Mn2 Mn 0.000 0.000 0.000
Cr1 Cr 0.644 0.644 0.250
Cr2 Cr 0.356 0.356 0.750
O1 O 0.756 0.756 0.450
O2 O 0.244 0.244 0.550
O3 O 0.756 0.756 0.050
O4 O 0.244 0.244 0.950
O5 O 0.783 0.281 0.250
O6 O 0.719 0.217 0.750
O7 O 0.217 0.719 0.750
O8 O 0.281 0.783 0.250
```

Output
Total energy after the MP2020 corrections, eV per atom: -8.30
Polymorph energy (0 for the lowest one), meV per atom: 0
Energy relative to the elements, eV per atom: -1.868


Compound: Mn3Cr3O8
Source: Materials Project
Functional: PBE with a Hubbard U
Structure: relaxed

Structure (CIF):
```
data_Mn3Cr3O8
_cell_length_a 6.104
_cell_length_b 6.104
_cell_length_c 6.104
_cell_angle_alpha 59.83
_cell_angle_beta 59.83
_cell_angle_gamma 59.83
_symmetry_space_group_name_H-M 'P 1'
_symmetry_Int_Tables_number 1
loop_
_symmetry_equiv_pos_as_xyz
'x,y,z'
loop_
_atom_site_label
_atom_site_type_symbol
_atom_site_fract_x
_atom_site_fract_y
_atom_site_fract_z
Mn1 Mn 0.625 0.625 0.625
Mn2 Mn 0.375 0.375 0.375
Mn3 Mn 0.000 0.000 0.000
Cr1 Cr 0.000 0.500 0.000
Cr2 Cr 0.500 0.000 0.000
Cr3 Cr 0.000 0.000 0.500
O1 O 0.236 0.236 0.236
O2 O 0.240 0.789 0.240
O3 O 0.789 0.240 0.240
O4 O 0.240 0.240 0.789
O5 O 0.764 0.764 0.764
O6 O 0.760 0.211 0.760
O7 O 0.211 0.760 0.760
O8 O 0.760 0.760 0.211
```

Output
Total energy after the MP2020 corrections, eV per atom: -9.10
Polymorph energy (0 for the lowest one), meV per atom: 12
Energy relative to the elements, eV per atom: -2.242